Material: Ba2PrNbO6
Method: DFT, PBE
State: relaxed

Unit cell a=6.1816 b=6.1547 c=10.6314 alpha=90.00 beta=125.16 gamma=90.00
With the nearest neighbours (Å) after each atom.
Positions (direct):
Ba: 0.2433 0.0151 0.2489  6 O 2.73-2.96
Ba: 0.2433 0.4849 0.7489  6 O 2.73-2.96
Ba: 0.7567 0.5151 0.2511  6 O 2.73-2.96
Ba: 0.7567 0.9849 0.7511  6 O 2.73-2.96
Pr: 0.5000 0.0000 0.0000  6 O 2.38
Pr: 0.5000 0.5000 0.5000  6 O 2.38
Nb: 0.0000 0.0000 0.5000  6 O 2.03-2.04
Nb: 0.0000 0.5000 0.0000  6 O 2.03-2.04
O: 0.1737 0.2486 0.9644  1 Nb 2.04
O: 0.1737 0.2514 0.4644  1 Nb 2.04
O: 0.2132 0.7127 0.9656  1 Nb 2.03
O: 0.2132 0.7873 0.4656  1 Nb 2.03
O: 0.2944 0.0096 0.7293  1 Nb 2.04
O: 0.2944 0.4904 0.2293  1 Nb 2.04
O: 0.7056 0.5096 0.7707  1 Nb 2.04
O: 0.7056 0.9904 0.2707  1 Nb 2.04
O: 0.7868 0.2127 0.5344  1 Nb 2.03
O: 0.7868 0.2873 0.0344  1 Nb 2.03
O: 0.8263 0.7486 0.5356  1 Nb 2.04
O: 0.8263 0.7514 0.0356  1 Nb 2.04

## Properties
The space group is P2_1/c. The volume is 16.5 A^3/atom. For the formation energy, the calculation gives -33.6 eV per formula unit.



Material: Th2Fe2Si2C
Method: DFT, PBE
State: relaxed

Unit cell a=5.8068 b=5.8068 c=7.0566 alpha=127.13 beta=127.13 gamma=40.23
With the nearest neighbours (Å) after each atom.
Positions (direct):
Th: 0.0593 0.0593 0.2983  2 C 2.66
Th: 0.9407 0.9407 0.7017  2 C 2.66
Fe: 0.3061 0.3061 0.9229  1 C 1.81
Fe: 0.6939 0.6939 0.0771  1 C 1.81
Si: 0.3279 0.3279 0.2752  3 Fe 2.33-2.34
Si: 0.6721 0.6721 0.7248  3 Fe 2.33-2.34
C: 0.5000 0.5000 0.0000  2 Fe 1.81

## Properties
The space group is C2/m. The volume is 16.8 A^3/atom. For the formation energy, the calculation gives -4.4 eV per formula unit.



Material: Fe2B7
Method: DFT, PBE
State: relaxed

Unit cell a=10.6179 b=16.8600 c=2.8886 alpha=90.00 beta=90.00 gamma=90.00
With the nearest neighbours (Å) after each atom.
Positions (direct):
Fe: 0.0321 0.2215 0.0000  9 B 1.99-2.22
Fe: 0.1067 0.9664 0.0000  10 B 2.06-2.27
Fe: 0.1802 0.6211 0.5000  6 B 1.97-2.20
Fe: 0.2343 0.3865 0.5000  3 B 1.94-2.13
Fe: 0.2657 0.8865 0.5000  3 B 1.94-2.13
Fe: 0.3198 0.1211 0.5000  6 B 1.97-2.20
Fe: 0.3933 0.4664 0.0000  10 B 2.06-2.27
Fe: 0.4679 0.7215 0.0000  9 B 1.99-2.22
Fe: 0.5321 0.2785 0.0000  9 B 1.99-2.22
Fe: 0.6067 0.5336 0.0000  10 B 2.06-2.27
Fe: 0.6802 0.8789 0.5000  6 B 1.97-2.20
Fe: 0.7343 0.1135 0.5000  3 B 1.94-2.13
Fe: 0.7657 0.6135 0.5000  3 B 1.94-2.13
Fe: 0.8198 0.3789 0.5000  6 B 1.97-2.20
Fe: 0.8933 0.0336 0.0000  10 B 2.06-2.27
Fe: 0.9679 0.7785 0.0000  9 B 1.99-2.22
B: 0.0242 0.3990 0.5000  6 B 1.81-1.87
B: 0.0390 0.0473 0.5000  4 B 1.68-1.82
B: 0.0442 0.7008 0.5000  1 B 1.62
B: 0.0518 0.8682 0.5000  4 B 1.72-1.88
B: 0.0586 0.5540 0.0000  2 B 1.66-1.74
B: 0.0975 0.4447 0.0000  4 B 1.66-1.81
B: 0.1083 0.3030 0.5000  1 B 1.62
B: 0.1248 0.1407 0.5000  5 B 1.81-1.96
B: 0.1383 0.8397 0.0000  3 B 1.78-1.79
B: 0.1437 0.7195 0.0000  3 B 1.71-1.82
B: 0.1952 0.0331 0.5000  3 B 1.68-1.76
B: 0.2078 0.1796 0.0000  4 B 1.71-1.87
B: 0.2124 0.5183 0.0000  4 B 1.74-1.76
B: 0.2125 0.2902 0.0000  5 B 1.79-1.94
B: 0.2875 0.7902 0.0000  5 B 1.79-1.94
B: 0.2876 0.0183 0.0000  4 B 1.74-1.76
B: 0.2922 0.6796 0.0000  4 B 1.71-1.87
B: 0.3048 0.5331 0.5000  3 B 1.68-1.76
B: 0.3563 0.2195 0.0000  3 B 1.71-1.82
B: 0.3617 0.3397 0.0000  3 B 1.78-1.79
B: 0.3752 0.6407 0.5000  5 B 1.81-1.96
B: 0.3917 0.8030 0.5000  1 B 1.62
B: 0.4025 0.9447 0.0000  4 B 1.66-1.81
B: 0.4414 0.0540 0.0000  2 B 1.66-1.74
B: 0.4482 0.3682 0.5000  4 B 1.72-1.88
B: 0.4558 0.2008 0.5000  1 B 1.62
B: 0.4610 0.5473 0.5000  4 B 1.68-1.82
B: 0.4758 0.8990 0.5000  6 B 1.81-1.87
B: 0.5242 0.1010 0.5000  6 B 1.81-1.87
B: 0.5390 0.4527 0.5000  4 B 1.68-1.82
B: 0.5442 0.7992 0.5000  1 B 1.62
B: 0.5518 0.6318 0.5000  4 B 1.72-1.88
B: 0.5586 0.9460 0.0000  2 B 1.66-1.74
B: 0.5975 0.0553 0.0000  4 B 1.66-1.81
B: 0.6083 0.1970 0.5000  1 B 1.62
B: 0.6248 0.3593 0.5000  5 B 1.81-1.96
B: 0.6383 0.6603 0.0000  3 B 1.78-1.79
B: 0.6437 0.7805 0.0000  3 B 1.71-1.82
B: 0.6952 0.4669 0.5000  3 B 1.68-1.76
B: 0.7078 0.3204 0.0000  4 B 1.71-1.87
B: 0.7124 0.9817 0.0000  4 B 1.74-1.76
B: 0.7125 0.2098 0.0000  5 B 1.79-1.94
B: 0.7875 0.7098 0.0000  5 B 1.79-1.94
B: 0.7876 0.4817 0.0000  4 B 1.74-1.76
B: 0.7922 0.8204 0.0000  4 B 1.71-1.87
B: 0.8048 0.9669 0.5000  3 B 1.68-1.76
B: 0.8563 0.2805 0.0000  3 B 1.71-1.82
B: 0.8617 0.1603 0.0000  3 B 1.78-1.79
B: 0.8752 0.8593 0.5000  5 B 1.81-1.96
B: 0.8917 0.6970 0.5000  1 B 1.62
B: 0.9025 0.5553 0.0000  4 B 1.66-1.81
B: 0.9414 0.4460 0.0000  2 B 1.66-1.74
B: 0.9482 0.1318 0.5000  4 B 1.72-1.88
B: 0.9558 0.2992 0.5000  1 B 1.62
B: 0.9610 0.9527 0.5000  4 B 1.68-1.82
B: 0.9758 0.6010 0.5000  6 B 1.81-1.87

## Properties
The space group is Pbam. The volume is 7.2 A^3/atom. For the formation energy, the calculation gives -1.7 eV per formula unit.



Material: Ca3Zr2N4
Method: DFT, PBE
State: relaxed

Unit cell a=9.1445 b=9.1445 c=6.4885 alpha=96.04 beta=96.04 gamma=45.87
With the nearest neighbours (Å) after each atom.
Positions (direct):
Ca: 0.0866 0.9134 0.7500  2 N 2.37
Ca: 0.2462 0.4891 0.4331  3 N 2.31-2.43
Ca: 0.4891 0.2462 0.9331  3 N 2.31-2.43
Ca: 0.5109 0.7538 0.0669  3 N 2.31-2.43
Ca: 0.7538 0.5109 0.5669  3 N 2.31-2.43
Ca: 0.9134 0.0866 0.2500  2 N 2.37
Zr: 0.0688 0.2994 0.0576  4 N 2.08-2.14
Zr: 0.2994 0.0688 0.5576  4 N 2.08-2.14
Zr: 0.7006 0.9312 0.4424  4 N 2.08-2.14
Zr: 0.9312 0.7006 0.9424  4 N 2.08-2.14
N: 0.0388 0.2402 0.3525  2 Zr 2.12-2.14, 1 Ca 2.37
N: 0.1840 0.4329 0.0910  2 Zr 2.08-2.10, 2 Ca 2.31-2.33
N: 0.2402 0.0388 0.8525  2 Zr 2.12-2.14, 1 Ca 2.37
N: 0.4329 0.1840 0.5910  2 Zr 2.08-2.10, 2 Ca 2.31-2.33
N: 0.5671 0.8160 0.4090  2 Zr 2.08-2.10, 2 Ca 2.31-2.33
N: 0.7598 0.9612 0.1475  2 Zr 2.12-2.14, 1 Ca 2.37
N: 0.8160 0.5671 0.9090  2 Zr 2.08-2.10, 2 Ca 2.31-2.33
N: 0.9612 0.7598 0.6475  2 Zr 2.12-2.14, 1 Ca 2.37

## Properties
The space group is C2/c. The volume is 21.5 A^3/atom. For the formation energy, the calculation gives -11.4 eV per formula unit.



Material: MgSi2
Method: DFT, PBE
State: relaxed

Unit cell a=3.6689 b=5.9434 c=11.0389 alpha=102.60 beta=91.71 gamma=107.29
With the nearest neighbours (Å) after each atom.
Positions (direct):
Mg: 0.0642 0.0125 0.3548  8 Si 2.79-3.07
Mg: 0.2722 0.5342 0.1319  6 Si 2.88-3.08
Mg: 0.7278 0.4658 0.8681  6 Si 2.88-3.08
Mg: 0.9358 0.9875 0.6452  8 Si 2.79-3.07
Si: 0.0471 0.0954 0.9133  3 Si 2.39-2.42
Si: 0.2315 0.5892 0.6211  4 Si 2.37-2.50
Si: 0.4091 0.8343 0.8275  3 Si 2.37-2.42
Si: 0.4120 0.6902 0.4188  3 Si 2.38-2.50
Si: 0.5880 0.3098 0.5812  3 Si 2.38-2.50
Si: 0.5909 0.1657 0.1725  3 Si 2.37-2.42
Si: 0.7685 0.4108 0.3789  4 Si 2.37-2.50
Si: 0.9529 0.9046 0.0867  3 Si 2.39-2.42

## Properties
The space group is P-1. The volume is 18.6 A^3/atom. The energy above the most stable polymorph in this dataset is 0.087 eV/atom. For the formation energy, the calculation gives 0.5 eV per formula unit.



Material: ErTiSi
Method: DFT, PBE
State: relaxed

Unit cell a=4.0143 b=4.0143 c=7.5169 alpha=90.00 beta=90.00 gamma=90.00
With the nearest neighbours (Å) after each atom.
Positions (direct):
Er: 0.2500 0.2500 0.1563  5 Si 2.94-3.12, 4 Ti 3.27
Er: 0.7500 0.7500 0.8437  5 Si 2.94-3.12, 4 Ti 3.27
Ti: 0.2500 0.7500 0.5000  4 Si 2.70, 4 Ti 2.84
Ti: 0.7500 0.2500 0.5000  4 Si 2.70, 4 Ti 2.84
Si: 0.2500 0.2500 0.7412  4 Ti 2.70, 4 Er 2.94
Si: 0.7500 0.7500 0.2589  4 Ti 2.70, 4 Er 2.94

## Properties
The space group is P4/nmm. The volume is 20.2 A^3/atom. For the formation energy, the calculation gives -1.9 eV per formula unit.